1.
PbSO4 | PBE-GGA | relaxed

Computed properties:
- Space-group type: No. 62
- Energy above the lowest structure with this stoichiometry: 0.00 kcal/mol of atoms

Cell and atoms, written as extended XYZ:
```
24
Lattice="8.561 0.000 0.000 0.000 5.522 0.000 0.000 0.000 7.099" Properties=species:S:1:pos:R:3 pbc="T T T"
Pb 1.681 1.380 1.223
Pb 2.600 4.141 4.772
Pb 5.961 1.380 2.327
Pb 6.880 4.141 5.877
S 0.543 1.380 4.830
S 3.737 4.141 1.280
S 4.824 1.380 5.819
S 8.018 4.141 2.270
O 0.695 0.158 5.699
O 0.695 2.603 5.699
O 0.797 4.141 2.881
O 1.645 1.380 3.821
O 2.635 4.141 0.271
O 3.484 1.380 6.430
O 3.585 2.918 2.150
O 3.585 5.364 2.150
O 4.976 0.158 4.950
O 4.976 2.603 4.950
O 5.077 4.141 0.669
O 5.925 1.380 6.828
O 6.916 4.141 3.278
O 7.764 1.380 4.219
O 7.865 2.918 1.400
O 7.865 5.364 1.400
```

---

2.
Pb3Au | PBE-GGA | relaxed

Computed properties:
- Space-group type: No. 121
- Raw total energy: -58.65 eV for the cell shown

Cell and atoms, written as extended XYZ:
```
16
Lattice="-6.110 6.110 3.040 6.110 -6.110 3.040 6.110 6.110 -3.040" Properties=species:S:1:pos:R:3 pbc="T T T"
Pb 4.388 0.000 0.000
Pb 7.832 0.000 0.000
Pb 3.661 3.661 -1.440
Pb 1.172 -1.172 1.484
Pb -1.172 1.172 1.484
Pb 0.000 4.388 0.000
Pb 2.450 2.450 1.600
Pb 2.450 -2.450 4.480
Pb 0.000 7.832 0.000
Pb 4.938 4.938 1.556
Pb 1.172 1.172 4.596
Pb -2.450 2.450 4.480
Au 6.110 2.517 0.000
Au 2.517 6.110 0.000
Au 3.593 0.000 3.040
Au 0.000 3.593 3.040
```

---

3.
Mg3BeAl8O16 | PBE-GGA | relaxed

Computed properties:
- Space-group type: No. 186
- Energy above the lowest structure with this stoichiometry: 0.50 kcal/mol of atoms

Cell and atoms, written as extended XYZ:
```
56
Lattice="5.724 0.000 0.000 -2.862 4.957 0.000 0.000 0.000 18.567" Properties=species:S:1:pos:R:3 pbc="T T T"
Mg 0.000 0.000 0.000
Mg 0.000 0.000 9.283
Mg 0.000 3.305 1.172
Mg 0.000 3.305 4.656
Mg 2.862 1.652 10.456
Mg 2.862 1.652 13.939
Be 0.000 3.305 14.851
Be 2.862 1.652 5.568
Al 0.000 0.000 5.383
Al 0.000 0.000 14.667
Al -1.415 2.488 7.526
Al 0.000 1.635 12.254
Al -1.446 4.139 12.254
Al 1.416 0.818 2.970
Al 0.000 3.305 9.904
Al 1.415 2.488 7.526
Al 0.000 4.938 7.526
Al 2.862 0.019 16.810
Al 1.447 2.469 16.810
Al 2.862 1.652 0.620
Al 1.446 4.139 12.254
Al 4.308 0.818 2.970
Al 2.862 3.322 2.970
Al 4.277 2.469 16.810
O 0.000 0.000 1.956
O 0.000 0.000 11.239
O -1.278 2.567 11.148
O 0.000 1.463 4.069
O -1.595 4.225 4.069
O 0.000 1.774 15.659
O -1.326 4.070 15.659
O 0.000 1.833 8.659
O -1.274 4.040 8.659
O 1.267 0.732 13.352
O 0.000 3.305 6.580
O 0.000 3.305 13.275
O 0.000 3.305 17.754
O 1.536 0.887 6.376
O 1.588 0.917 17.943
O 1.278 2.567 11.148
O 0.000 4.780 11.148
O 2.862 0.177 1.864
O 1.584 2.390 1.864
O 1.274 4.040 8.659
O 1.326 4.070 15.659
O 2.862 1.652 3.991
O 2.862 1.652 8.470
O 2.862 1.652 15.863
O 1.595 4.225 4.069
O 4.136 0.917 17.943
O 2.862 3.124 17.943
O 4.188 0.887 6.376
O 2.862 3.183 6.376
O 4.457 0.732 13.352
O 2.862 3.494 13.352
O 4.140 2.390 1.864
```

---

4.
ZrCu5 | PBE-GGA | relaxed

Computed properties:
- Space-group type: No. 216
- Raw total energy: -29.74 eV for the cell shown

Cell and atoms, written as extended XYZ:
```
6
Lattice="0.000 3.419 3.419 3.419 0.000 3.419 3.419 3.419 0.000" Properties=species:S:1:pos:R:3 pbc="T T T"
Zr 0.000 0.000 0.000
Cu 2.568 2.568 2.568
Cu 4.271 4.271 2.568
Cu 4.271 2.568 4.271
Cu 5.129 5.129 5.129
Cu 2.568 4.271 4.271
```

---

5.
Mg7Si4 | PBE-GGA | relaxed

Computed properties:
- Space-group type: No. 1
- Energy above the lowest structure with this stoichiometry: 0.39 kcal/mol of atoms

Cell and atoms, written as extended XYZ:
```
22
Lattice="5.443 0.000 0.000 0.152 6.219 0.000 1.104 0.658 13.114" Properties=species:S:1:pos:R:3 pbc="T T T"
Mg 0.000 0.000 0.000
Mg 0.651 0.482 7.347
Mg 1.337 3.759 12.488
Mg 1.206 4.677 4.885
Mg 1.911 1.384 4.605
Mg 2.665 1.451 1.008
Mg 3.384 2.150 7.712
Mg 3.503 5.358 6.990
Mg 3.033 4.564 0.341
Mg 4.324 5.820 3.082
Mg 5.258 5.205 10.008
Mg 5.884 1.990 10.060
Mg 5.303 2.676 2.473
Mg 6.071 3.540 7.450
Si 1.591 5.647 2.428
Si 2.444 3.945 9.714
Si 2.577 6.346 9.528
Si 2.623 3.460 2.865
Si 3.693 0.896 11.478
Si 3.928 3.295 11.541
Si 4.011 3.604 4.991
Si 4.585 1.287 5.221
```

---

6.
TbAlCu | PBE-GGA | relaxed

Computed properties:
- Space-group type: No. 74
- Raw total energy: -54.48 eV for the cell shown

Cell and atoms, written as extended XYZ:
```
12
Lattice="5.445 0.000 0.000 0.000 5.452 0.000 0.000 0.000 7.509" Properties=species:S:1:pos:R:3 pbc="T T T"
Tb 0.000 1.363 0.946
Tb 0.000 4.089 6.563
Tb 2.723 1.363 2.809
Tb 2.723 4.089 4.701
Al 1.361 1.363 5.632
Al 1.361 4.089 1.877
Al 4.084 1.363 5.632
Al 4.084 4.089 1.877
Cu 0.000 0.000 3.755
Cu 0.000 2.726 3.755
Cu 2.723 0.000 0.000
Cu 2.723 2.726 0.000
```

---

7.
Na3VN2 | PBE-GGA | relaxed

Computed properties:
- Space-group type: No. 206
- Raw total energy: -239.57 eV for the cell shown

Cell and atoms, written as extended XYZ:
```
48
Lattice="-5.497 5.497 5.497 5.497 -5.497 5.497 5.497 5.497 -5.497" Properties=species:S:1:pos:R:3 pbc="T T T"
Na 4.520 -3.686 3.922
Na 7.308 1.575 -0.977
Na 3.922 4.520 -3.686
Na 6.475 -1.811 3.922
Na 9.183 1.575 0.977
Na 3.922 -0.977 3.686
Na 3.922 0.977 1.811
Na 3.686 3.922 -0.977
Na 6.475 1.811 1.575
Na 3.922 6.475 -1.811
Na 1.811 3.922 0.977
Na 4.520 3.686 1.575
Na 0.977 1.811 3.922
Na 3.686 1.575 4.520
Na 1.575 -0.977 7.308
Na -0.977 3.686 3.922
Na 1.811 1.575 6.475
Na 1.575 4.520 3.686
Na 1.575 6.475 1.811
Na -3.686 3.922 4.520
Na -0.977 7.308 1.575
Na 1.575 0.977 9.183
Na -1.811 3.922 6.475
Na 0.977 9.183 1.575
V 4.381 1.116 -1.116
V 6.613 -1.116 1.116
V 1.116 1.116 1.116
V 1.116 -1.116 4.381
V -1.116 4.381 1.116
V 1.116 6.613 -1.116
V -1.116 1.116 6.613
V 4.381 4.381 4.381
N 0.000 0.000 0.000
N 5.497 0.000 0.000
N 5.497 2.749 -1.725
N 2.749 1.725 0.000
N 1.725 0.000 2.749
N 7.222 0.000 2.749
N 2.749 -1.725 5.497
N 0.000 2.749 1.725
N 0.000 5.497 0.000
N 0.000 0.000 5.497
N 5.497 2.749 3.772
N 2.749 7.222 0.000
N -1.725 5.497 2.749
N 3.772 5.497 2.749
N 2.749 3.772 5.497
N 0.000 2.749 7.222
```

---

8.
PrYCo6Ni4 | PBE-GGA | relaxed

Computed properties:
- Space-group type: No. 47
- Raw total energy: -78.51 eV for the cell shown

Cell and atoms, written as extended XYZ:
```
12
Lattice="3.957 0.000 0.000 0.000 5.002 0.000 0.000 0.000 8.558" Properties=species:S:1:pos:R:3 pbc="T T T"
Pr 0.000 0.000 0.000
Y 0.000 2.501 4.279
Co 0.000 0.000 2.918
Co 0.000 0.000 5.640
Co 0.000 2.501 1.418
Co 0.000 2.501 7.141
Co 1.979 0.000 4.279
Co 1.979 2.501 0.000
Ni 1.979 1.265 2.172
Ni 1.979 1.265 6.387
Ni 1.979 3.738 2.172
Ni 1.979 3.738 6.387
```

---

9.
Eu2CdGe | PBE-GGA | relaxed

Computed properties:
- Space-group type: No. 225
- Raw total energy: -112.40 eV for the cell shown

Cell and atoms, written as extended XYZ:
```
16
Lattice="7.689 0.000 0.000 0.000 7.689 0.000 0.000 0.000 7.689" Properties=species:S:1:pos:R:3 pbc="T T T"
Eu 1.922 1.922 1.922
Eu 1.922 1.922 5.767
Eu 1.922 5.767 1.922
Eu 1.922 5.767 5.767
Eu 5.767 1.922 1.922
Eu 5.767 1.922 5.767
Eu 5.767 5.767 1.922
Eu 5.767 5.767 5.767
Cd 0.000 0.000 0.000
Cd 0.000 3.844 3.844
Cd 3.844 0.000 3.844
Cd 3.844 3.844 0.000
Ge 0.000 0.000 3.844
Ge 0.000 3.844 0.000
Ge 3.844 0.000 0.000
Ge 3.844 3.844 3.844
```

---

10.
BiW6Cl15 | PBE-GGA | relaxed

Computed properties:
- Space-group type: No. 14
- Raw total energy: -505.30 eV for the cell shown

Cell and atoms, written as extended XYZ:
```
88
Lattice="14.004 0.000 0.000 0.000 12.715 0.000 -7.555 0.000 13.775" Properties=species:S:1:pos:R:3 pbc="T T T"
Bi 0.609 2.402 4.221
Bi -3.169 3.956 11.109
Bi 9.618 8.760 2.666
Bi 5.841 10.313 9.554
W -5.589 9.226 13.381
W -1.811 9.847 6.494
W -1.106 7.888 8.110
W 2.672 11.185 1.223
W 2.617 8.712 2.114
W -1.161 10.361 9.002
W 0.492 8.636 6.143
W -3.286 10.437 13.031
W 4.208 7.964 0.147
W 0.431 11.109 7.034
W 1.160 9.153 8.643
W 4.938 9.920 1.756
W 1.512 2.795 12.020
W 5.289 3.563 5.132
W 6.018 1.606 6.741
W 2.241 4.751 13.629
W 9.735 2.278 0.745
W 5.957 4.080 7.632
W 7.610 2.354 4.774
W 3.832 4.004 11.661
W 3.778 1.530 12.553
W 7.555 4.828 5.665
W 8.260 2.869 7.282
W 12.038 3.489 0.394
Cl -1.645 1.313 4.367
Cl -5.423 5.045 11.255
Cl -3.838 2.379 8.843
Cl -0.060 3.978 1.955
Cl -3.272 9.146 8.376
Cl 0.506 9.927 1.489
Cl -1.688 7.461 5.744
Cl -5.466 11.612 12.632
Cl 1.979 6.887 0.535
Cl -1.799 12.186 7.422
Cl -4.000 8.521 11.582
Cl -0.223 10.552 4.694
Cl 1.639 0.576 1.912
Cl -2.138 5.781 8.800
Cl -3.806 2.228 12.782
Cl -0.029 4.130 5.894
Cl 1.582 7.514 4.129
Cl -2.196 11.559 11.016
Cl 1.491 0.526 6.263
Cl -2.286 5.832 13.150
Cl -0.420 8.445 10.458
Cl 3.357 10.628 3.571
Cl -0.450 2.385 10.614
Cl 3.328 3.972 3.726
Cl 1.145 6.813 7.741
Cl 4.922 12.260 0.853
Cl 4.797 7.532 2.548
Cl 1.020 11.541 9.436
Cl -1.182 9.227 13.619
Cl 2.596 9.846 6.732
Cl 3.853 2.869 7.044
Cl 7.631 3.488 0.156
Cl 5.430 1.174 4.340
Cl 1.652 5.183 11.227
Cl 1.527 0.456 12.922
Cl 5.304 5.902 6.035
Cl 3.121 8.743 10.049
Cl 6.899 10.330 3.162
Cl 3.092 2.087 10.205
Cl 6.870 4.270 3.317
Cl 8.736 6.884 0.625
Cl 4.958 12.189 7.513
Cl 8.645 1.156 2.759
Cl 4.867 5.202 9.647
Cl 6.478 8.585 7.881
Cl 10.256 10.488 0.993
Cl 8.587 6.934 4.975
Cl 4.810 12.139 11.863
Cl 6.672 2.163 9.081
Cl 10.449 4.195 2.194
Cl 8.248 0.530 6.353
Cl 4.470 5.828 13.241
Cl 11.915 1.104 1.143
Cl 8.137 5.254 8.031
Cl 5.944 2.789 12.287
Cl 9.721 3.569 5.399
Cl 6.509 8.737 11.820
Cl 10.287 10.336 4.933
Cl 11.872 7.670 2.520
Cl 8.094 11.403 9.408
```

---

11.
Gd3CI3 | PBE-GGA | relaxed

Computed properties:
- Space-group type: No. 11
- Raw total energy: -126.47 eV for the cell shown

Cell and atoms, written as extended XYZ:
```
14
Lattice="8.784 0.000 0.000 0.000 3.952 0.000 -0.460 0.000 11.885" Properties=species:S:1:pos:R:3 pbc="T T T"
Gd 0.536 0.988 4.755
Gd 0.633 0.988 9.741
Gd 2.326 2.964 7.329
Gd 5.997 0.988 4.556
Gd 7.691 2.964 2.144
Gd 7.788 2.964 7.130
C 0.772 0.988 7.328
C 7.552 2.964 4.556
I 1.222 0.988 1.467
I 2.940 2.964 10.407
I 3.197 2.964 4.332
I 5.127 0.988 7.552
I 5.384 0.988 1.478
I 7.102 2.964 10.417
```

---

12.
Dy5BiAu2 | PBE-GGA | relaxed

Computed properties:
- Space-group type: No. 140
- Energy above the lowest structure with this stoichiometry: 8.56 kcal/mol of atoms

Cell and atoms, written as extended XYZ:
```
16
Lattice="-3.708 3.708 8.818 3.708 -3.708 8.818 3.708 3.708 -8.818" Properties=species:S:1:pos:R:3 pbc="T T T"
Dy 0.000 0.000 0.000
Dy 4.945 1.237 -2.863
Dy 1.237 2.471 -2.863
Dy 4.945 1.237 2.863
Dy 1.237 2.471 2.863
Dy 0.000 0.000 8.818
Dy 2.471 1.237 5.956
Dy -1.237 2.471 5.956
Dy 2.471 1.237 11.681
Dy -1.237 2.471 11.681
Bi 0.000 0.000 4.409
Bi 0.000 0.000 13.227
Au 4.652 0.943 0.000
Au 0.943 2.765 0.000
Au 2.765 0.943 8.818
Au -0.943 2.765 8.818
```

---

13.
CsICl2 | PBE-GGA | relaxed

Computed properties:
- Space-group type: No. 166
- Raw total energy: -31.68 eV for the cell shown

Cell and atoms, written as extended XYZ:
```
12
Lattice="6.572 0.000 0.000 -3.286 5.692 0.000 0.000 0.000 12.455" Properties=species:S:1:pos:R:3 pbc="T T T"
Cs 0.000 0.000 0.000
Cs 0.000 3.794 8.303
Cs 3.286 1.897 4.152
I 0.000 0.000 6.228
I 0.000 3.794 2.076
I 3.286 1.897 10.379
Cl 0.000 0.000 3.656
Cl 0.000 0.000 8.799
Cl 0.000 3.794 4.648
Cl 0.000 3.794 11.959
Cl 3.286 1.897 0.496
Cl 3.286 1.897 7.807
```

---

14.
Ti2Ga | PBE-GGA | relaxed

Computed properties:
- Space-group type: No. 194
- Raw total energy: -40.05 eV for the cell shown

Cell and atoms, written as extended XYZ:
```
6
Lattice="4.532 0.000 0.000 -2.266 3.925 0.000 0.000 0.000 5.467" Properties=species:S:1:pos:R:3 pbc="T T T"
Ti 0.000 0.000 0.000
Ti 0.000 0.000 2.734
Ti 0.000 2.617 1.367
Ti 2.266 1.308 4.100
Ga 0.000 2.617 4.100
Ga 2.266 1.308 1.367
```